1.
This record from the Materials Project describes a geometry-optimized BaDy2S4 structure. The functional is meta-GGA r2SCAN.

Results
Final energy: -19.9624 eV per atom

```
BaDy2S4
1.0
-0.254 -3.955 -0.794
11.407 -1.599 4.313
-5.358 -2.328 13.309
S Dy Ba
16 8 4
direct
0.750 0.476 0.783
0.750 0.377 0.024
0.250 0.524 0.217
0.250 0.418 0.576
0.250 0.623 0.976
0.750 0.294 0.338
0.750 0.082 0.076
0.750 0.582 0.424
0.750 0.794 0.162
0.250 0.024 0.283
0.750 0.976 0.717
0.250 0.206 0.838
0.250 0.123 0.524
0.250 0.706 0.662
0.750 0.877 0.476
0.250 0.918 0.924
0.250 0.934 0.109
0.750 0.080 0.398
0.250 0.420 0.898
0.750 0.580 0.102
0.750 0.566 0.609
0.250 0.920 0.602
0.750 0.066 0.891
0.250 0.434 0.391
0.250 0.259 0.162
0.250 0.759 0.338
0.750 0.241 0.662
0.750 0.741 0.838
```


2.
This record from the Materials Project describes a geometry-optimized BaDy2Se4 structure. The functional is meta-GGA r2SCAN.

Results
Final energy: -23.3887 eV per atom

```
BaDy2Se4
1.0
4.198 0.000 0.000
0.000 12.816 0.000
0.000 0.000 15.154
Se Dy Ba
16 8 4
direct
0.250 0.125 0.524
0.250 0.707 0.663
0.750 0.477 0.783
0.250 0.523 0.217
0.750 0.584 0.424
0.250 0.023 0.283
0.250 0.625 0.976
0.250 0.416 0.576
0.750 0.793 0.163
0.750 0.977 0.717
0.750 0.875 0.476
0.750 0.293 0.337
0.750 0.375 0.024
0.250 0.207 0.837
0.250 0.916 0.924
0.750 0.084 0.076
0.250 0.421 0.900
0.250 0.435 0.391
0.250 0.921 0.600
0.750 0.579 0.100
0.250 0.935 0.109
0.750 0.065 0.891
0.750 0.079 0.400
0.750 0.565 0.609
0.750 0.242 0.664
0.250 0.758 0.336
0.250 0.258 0.164
0.750 0.742 0.836
```


3.
This record from the Materials Project describes a geometry-optimized BaDy2Te4 structure. The functional is meta-GGA r2SCAN.

Results
Final energy: -29.2669 eV per atom

```
BaDy2Te4
1.0
4.483 0.000 0.000
0.000 13.793 0.000
0.000 0.000 16.270
Te Ba Dy
16 4 8
direct
0.750 0.127 0.472
0.250 0.473 0.216
0.750 0.911 0.076
0.750 0.027 0.716
0.250 0.373 0.972
0.750 0.411 0.424
0.250 0.873 0.528
0.750 0.627 0.028
0.750 0.527 0.784
0.250 0.796 0.840
0.250 0.296 0.660
0.250 0.973 0.284
0.750 0.204 0.160
0.250 0.089 0.924
0.250 0.589 0.576
0.750 0.704 0.340
0.250 0.739 0.169
0.750 0.261 0.831
0.750 0.761 0.669
0.250 0.239 0.331
0.250 0.059 0.110
0.250 0.581 0.903
0.250 0.559 0.390
0.250 0.081 0.597
0.750 0.419 0.097
0.750 0.441 0.610
0.750 0.919 0.403
0.750 0.941 0.890
```


4.
This record from the Materials Project describes a geometry-optimized BaEr2F8 structure. The functional is meta-GGA r2SCAN.

Results
Final energy: -15.2791 eV per atom

```
BaEr2F8
1.0
-1.120 -3.178 -2.557
1.961 3.758 -4.594
4.667 -3.112 2.757
Er F Ba
2 8 1
direct
0.500 0.324 0.676
0.500 0.676 0.324
0.438 0.953 0.672
0.438 0.672 0.953
0.225 0.394 0.394
0.562 0.328 0.047
0.000 0.738 0.262
0.000 0.262 0.738
0.775 0.606 0.606
0.562 0.047 0.328
0.000 0.000 0.000
```


5.
This record from the Materials Project describes a geometry-optimized BaEr2O4 structure. The functional is meta-GGA r2SCAN.

Results
Final energy: -20.5263 eV per atom

```
BaEr2O4
1.0
-0.611 3.356 -0.224
10.126 1.753 -1.342
-1.394 -1.048 -11.889
O Ba Er
16 4 8
direct
0.750 0.709 0.656
0.250 0.886 0.483
0.750 0.114 0.517
0.250 0.386 0.017
0.250 0.791 0.156
0.250 0.069 0.074
0.750 0.519 0.217
0.250 0.291 0.344
0.750 0.431 0.574
0.750 0.614 0.983
0.750 0.931 0.926
0.750 0.209 0.844
0.250 0.481 0.783
0.250 0.569 0.426
0.250 0.981 0.717
0.750 0.019 0.283
0.750 0.253 0.150
0.250 0.247 0.650
0.250 0.747 0.850
0.750 0.753 0.350
0.750 0.922 0.608
0.250 0.078 0.392
0.750 0.927 0.111
0.750 0.427 0.389
0.250 0.573 0.611
0.250 0.578 0.108
0.250 0.073 0.889
0.750 0.422 0.892
```


6.
This record from the Materials Project describes a geometry-optimized Ba3Er4O9 structure. The functional is meta-GGA r2SCAN.

Results
Final energy: -20.3219 eV per atom

```
Ba3Er4O9
1.0
5.723 0.015 7.050
2.512 5.142 7.050
0.023 0.015 9.080
O Er Ba
9 4 3
direct
0.468 0.573 0.041
0.128 0.602 0.689
0.041 0.468 0.573
0.032 0.582 0.135
0.602 0.689 0.128
0.573 0.041 0.468
0.135 0.032 0.582
0.689 0.128 0.602
0.582 0.135 0.032
0.426 0.426 0.426
0.865 0.865 0.865
0.301 0.301 0.301
0.740 0.740 0.740
0.165 0.165 0.165
0.001 0.001 0.001
0.579 0.579 0.579
```


7.
This record from the Materials Project describes a geometry-optimized Ba3Eu structure. The functional is meta-GGA r2SCAN.

Results
Final energy: -29.4049 eV per atom

```
Ba3Eu
1.0
-4.416 -5.278 1.241
-0.458 -2.741 6.417
-5.732 1.071 3.859
Ba Eu
3 1
direct
0.500 0.500 0.500
0.750 0.750 0.750
0.250 0.250 0.250
0.000 0.000 0.000
```


8.
This record from the Materials Project describes a geometry-optimized BaEu2Mn2O7 structure. The functional is meta-GGA r2SCAN.

Results
Final energy: -17.3526 eV per atom

```
BaEu2Mn2O7
1.0
-1.948 1.948 9.966
1.948 -1.948 9.966
1.948 1.948 -9.966
O Eu Mn Ba
7 2 2 1
direct
0.000 0.000 0.000
0.801 0.801 0.000
0.395 0.895 0.500
0.895 0.395 0.500
0.199 0.199 0.000
0.605 0.105 0.500
0.105 0.605 0.500
0.684 0.684 0.000
0.316 0.316 0.000
0.100 0.100 0.000
0.900 0.900 0.000
0.500 0.500 0.000
```


9.
This record from the Materials Project describes a geometry-optimized BaEu2O4 structure. The functional is meta-GGA r2SCAN.

Results
Final energy: -21.0686 eV per atom

```
BaEu2O4
1.0
-3.476 0.442 -0.619
1.180 -4.148 -9.596
-2.247 -11.236 4.603
Eu O Ba
8 16 4
direct
0.250 0.577 0.109
0.750 0.924 0.113
0.750 0.922 0.610
0.250 0.076 0.888
0.250 0.079 0.390
0.250 0.576 0.613
0.750 0.421 0.890
0.750 0.425 0.387
0.750 0.617 0.983
0.750 0.708 0.671
0.250 0.482 0.786
0.250 0.791 0.170
0.250 0.880 0.485
0.750 0.430 0.575
0.250 0.069 0.075
0.750 0.019 0.284
0.250 0.982 0.716
0.750 0.121 0.515
0.250 0.293 0.330
0.750 0.930 0.925
0.750 0.210 0.831
0.250 0.570 0.425
0.750 0.519 0.215
0.250 0.379 0.014
0.750 0.752 0.351
0.250 0.248 0.649
0.250 0.747 0.851
0.750 0.252 0.148
```


10.
This record from the Materials Project describes a geometry-optimized BaFe2F7 structure. The functional is meta-GGA r2SCAN.

Results
Final energy: -10.7594 eV per atom

```
BaFe2F7
1.0
10.955 0.000 0.000
0.000 5.415 0.029
0.000 0.739 9.071
Fe F Ba
8 28 4
direct
0.934 0.182 0.381
0.123 0.690 0.241
0.434 0.818 0.119
0.877 0.310 0.759
0.066 0.818 0.619
0.377 0.690 0.741
0.566 0.182 0.881
0.623 0.310 0.259
0.726 0.100 0.787
0.274 0.900 0.213
0.646 0.341 0.044
0.982 0.009 0.774
0.908 0.857 0.504
0.465 0.509 0.240
0.774 0.100 0.287
0.535 0.491 0.760
0.592 0.857 0.004
0.018 0.991 0.226
0.354 0.659 0.956
0.035 0.509 0.740
0.408 0.143 0.996
0.146 0.659 0.456
0.787 0.606 0.777
0.965 0.491 0.260
0.482 0.991 0.726
0.713 0.606 0.277
0.213 0.394 0.223
0.591 0.283 0.475
0.518 0.009 0.274
0.091 0.717 0.025
0.226 0.900 0.713
0.409 0.717 0.525
0.854 0.341 0.544
0.287 0.394 0.723
0.909 0.283 0.975
0.092 0.143 0.496
0.163 0.226 0.963
0.837 0.774 0.037
0.337 0.226 0.463
0.663 0.774 0.537
```


11.
This record from the Materials Project describes a geometry-optimized BaFeF5 structure. The functional is meta-GGA r2SCAN.

Results
Final energy: -11.3675 eV per atom

```
BaFeF5
1.0
-4.135 1.678 -6.553
2.537 -8.410 -3.754
-6.828 -12.617 1.077
F Fe Ba
40 8 8
direct
0.184 0.003 0.981
0.383 0.725 0.451
0.455 0.729 0.958
0.121 0.285 0.346
0.045 0.729 0.458
0.555 0.655 0.668
0.788 0.434 0.632
0.978 0.120 0.783
0.621 0.715 0.154
0.223 0.377 0.651
0.316 0.003 0.481
0.117 0.725 0.951
0.346 0.886 0.205
0.478 0.880 0.717
0.055 0.345 0.832
0.195 0.037 0.288
0.379 0.285 0.846
0.154 0.886 0.705
0.723 0.623 0.849
0.288 0.566 0.868
0.305 0.037 0.788
0.022 0.880 0.217
0.816 0.997 0.019
0.654 0.114 0.795
0.445 0.345 0.332
0.522 0.120 0.283
0.277 0.377 0.151
0.712 0.434 0.132
0.955 0.271 0.542
0.684 0.997 0.519
0.805 0.963 0.712
0.846 0.114 0.295
0.545 0.271 0.042
0.617 0.275 0.549
0.945 0.655 0.168
0.879 0.715 0.654
0.777 0.623 0.349
0.695 0.963 0.212
0.883 0.275 0.049
0.212 0.566 0.368
0.293 0.785 0.842
0.793 0.215 0.658
0.707 0.215 0.158
0.691 0.811 0.684
0.191 0.189 0.816
0.309 0.189 0.316
0.207 0.785 0.342
0.809 0.811 0.184
0.714 0.778 0.454
0.287 0.666 0.146
0.786 0.778 0.954
0.214 0.222 0.046
0.713 0.334 0.854
0.787 0.334 0.354
0.213 0.666 0.646
0.286 0.222 0.546
```


12.
This record from the Materials Project describes a geometry-optimized BaH6F8 structure. The functional is meta-GGA r2SCAN.

Results
Final energy: -7.0063 eV per atom

```
BaH6F8
1.0
-6.874 -2.813 2.277
6.355 -1.355 4.258
-2.107 10.366 6.444
F H Ba
32 24 4
direct
0.156 0.303 0.750
0.630 0.562 0.105
0.562 0.630 0.895
0.697 0.853 0.750
0.301 0.301 0.000
0.370 0.933 0.895
0.853 0.697 0.250
0.000 0.000 0.500
0.734 0.171 0.750
0.437 0.266 0.750
0.933 0.370 0.395
0.933 0.370 0.105
0.562 0.630 0.605
0.303 0.156 0.250
0.000 0.699 0.000
0.067 0.438 0.605
0.000 0.699 0.500
0.438 0.067 0.395
0.829 0.563 0.750
0.630 0.562 0.395
0.266 0.437 0.250
0.438 0.067 0.105
0.699 0.000 0.500
0.301 0.301 0.500
0.563 0.829 0.250
0.000 0.000 0.000
0.370 0.933 0.605
0.171 0.734 0.250
0.844 0.147 0.250
0.147 0.844 0.750
0.699 0.000 0.000
0.067 0.438 0.895
0.173 0.173 0.000
0.000 0.827 0.000
0.718 0.035 0.750
0.894 0.271 0.335
0.729 0.623 0.165
0.729 0.623 0.335
0.271 0.894 0.835
0.035 0.718 0.250
0.106 0.377 0.835
0.377 0.106 0.335
0.377 0.106 0.165
0.623 0.729 0.665
0.965 0.683 0.750
0.106 0.377 0.665
0.317 0.282 0.750
0.827 0.000 0.000
0.623 0.729 0.835
0.683 0.965 0.250
0.282 0.317 0.250
0.000 0.827 0.500
0.827 0.000 0.500
0.894 0.271 0.165
0.271 0.894 0.665
0.173 0.173 0.500
0.333 0.667 0.062
0.667 0.333 0.562
0.667 0.333 0.938
0.333 0.667 0.438
```